[1]
First-principles (r2SCAN) data for a geometry-optimized Er2AgHg structure, as listed in the Materials Project database.

Formation energy: -460 meV/atom

Cell: 7.2316 7.2316 7.2316 Å, 90.00 90.00 90.00°
Space group Fm-3m (No. 225)
Symmetry-distinct sites (fractional):
Er  0.2500  0.2500  0.2500 [8 per cell]
Ag  0.0000  0.0000  0.0000 [4 per cell]
Hg  0.0000  0.0000  0.5000 [4 per cell]

[2]
First-principles (r2SCAN) data for a geometry-optimized ErAgHg2 structure, as listed in the Materials Project database.

Formation energy: -363 meV/atom

Cell: 6.9931 6.9931 6.9931 Å, 90.00 90.00 90.00°
Space group Fm-3m (No. 225)
Symmetry-distinct sites (fractional):
Er  0.0000  0.0000  0.0000 [4 per cell]
Ag  0.0000  0.0000  0.5000 [4 per cell]
Hg  0.2500  0.2500  0.2500 [8 per cell]

[3]
First-principles (r2SCAN) data for a geometry-optimized Er2AgOs structure, as listed in the Materials Project database.

Formation energy: -375 meV/atom

Cell: 6.8879 6.8879 6.8879 Å, 90.00 90.00 90.00°
Space group Fm-3m (No. 225)
Symmetry-distinct sites (fractional):
Er  0.2500  0.2500  0.2500 [8 per cell]
Ag  0.0000  0.0000  0.0000 [4 per cell]
Os  0.0000  0.0000  0.5000 [4 per cell]

[4]
First-principles (r2SCAN) data for a geometry-optimized Er2AgPt structure, as listed in the Materials Project database.

Formation energy: -880 meV/atom

Cell: 6.9822 6.9822 6.9822 Å, 90.00 90.00 90.00°
Space group Fm-3m (No. 225)
Symmetry-distinct sites (fractional):
Er  0.2500  0.2500  0.2500 [8 per cell]
Ag  0.0000  0.0000  0.0000 [4 per cell]
Pt  0.0000  0.0000  0.5000 [4 per cell]

[5]
First-principles (r2SCAN) data for a geometry-optimized ErAgSn structure, as listed in the Materials Project database.

Formation energy: -631 meV/atom

Cell: 4.6728 4.6728 7.3559 Å, 90.00 90.00 120.00°
Space group P6_3mc (No. 186)
Symmetry-distinct sites (fractional):
Er  0.0000  0.0000  0.0000 [2 per cell]
Ag  0.3333  0.6667  0.3190 [2 per cell]
Sn  0.3333  0.6667  0.7201 [2 per cell]

[6]
First-principles (r2SCAN) data for a geometry-optimized ErAgSn structure, as listed in the Materials Project database.

Formation energy: -611 meV/atom

Cell: 7.3199 7.3199 4.4587 Å, 90.00 90.00 120.00°
Space group P-62m (No. 189)
Symmetry-distinct sites (fractional):
Er  0.0000  0.5702  0.0000 [3 per cell]
Ag  0.0000  0.2458  0.5000 [3 per cell]
Sn  0.0000  0.0000  0.0000 [1 per cell]
Sn  0.3333  0.6667  0.5000 [2 per cell]

[7]
First-principles (r2SCAN) data for a geometry-optimized Er7Ag2Te2 structure, as listed in the Materials Project database.

Formation energy: -658 meV/atom

Cell: 4.0589 15.3517 9.6171 Å, 90.00 90.00 90.00°
Space group Imm2 (No. 44)
Symmetry-distinct sites (fractional):
Er  0.0000  0.0000  0.0000 [2 per cell]
Er  0.0000  0.1260  0.5906 [4 per cell]
Er  0.0000  0.3158  0.3809 [4 per cell]
Er  0.0000  0.3602  0.7446 [4 per cell]
Ag  0.0000  0.2359  0.0759 [4 per cell]
Te  0.0000  0.0000  0.3413 [2 per cell]
Te  0.0000  0.5000  0.2400 [2 per cell]

[8]
First-principles (r2SCAN) data for a geometry-optimized ErTmAg2 structure, as listed in the Materials Project database.

Formation energy: -353 meV/atom

Cell: 7.1311 7.1311 7.1311 Å, 90.00 90.00 90.00°
Space group Fm-3m (No. 225)
Symmetry-distinct sites (fractional):
Er  0.0000  0.0000  0.0000 [4 per cell]
Tm  0.0000  0.0000  0.5000 [4 per cell]
Ag  0.2500  0.2500  0.2500 [8 per cell]

What is the formation energy in the seventh record? -658 meV/atom